VASP calculation (PBE) on a geometry-optimized Cs4KLiGa2F12 structure.

Cell and atoms, written as POSCAR:
```
Cs4KLiGa2F12
1.0
-3.645 8.712 -5.750
-6.307 3.481 -8.388
-8.792 5.991 -3.010
Li Ga F Cs K
1 2 12 4 1
direct
0.500 0.500 0.500 Li
0.584 0.584 0.584 Ga
0.416 0.416 0.416 Ga
0.761 0.332 0.761 F
0.239 0.668 0.239 F
0.761 0.761 0.332 F
0.239 0.239 0.668 F
0.332 0.761 0.761 F
0.592 0.592 0.182 F
0.668 0.239 0.239 F
0.592 0.182 0.592 F
0.408 0.408 0.818 F
0.182 0.592 0.592 F
0.408 0.818 0.408 F
0.818 0.408 0.408 F
0.133 0.133 0.133 Cs
0.714 0.714 0.714 Cs
0.867 0.867 0.867 Cs
0.286 0.286 0.286 Cs
0.000 0.000 0.000 K
```

## Properties
* ΔE_f: -3.085 eV per atom
* final energy: -0.1687 hartree per atom
* magnetization: 0.0 μB per formula unit
* space-group type: R-3m

***

VASP calculation (PBE) on a geometry-optimized Cs2LiGaF6 structure.

Cell and atoms, written as POSCAR:
```
Cs2LiGaF6
1.0
3.180 -5.509 0.000
3.180 5.509 0.000
0.000 0.000 5.180
F Ga Cs Li
6 1 2 1
direct
0.277 0.138 0.229 F
0.862 0.138 0.229 F
0.138 0.277 0.771 F
0.723 0.862 0.771 F
0.862 0.723 0.229 F
0.138 0.862 0.771 F
0.000 0.000 0.000 Ga
0.333 0.667 0.268 Cs
0.667 0.333 0.732 Cs
0.000 0.000 0.500 Li
```

## Properties
* ΔE_f: -3.081 eV per atom
* final energy: -0.1700 hartree per atom
* magnetization: 0.0 μB per formula unit
* space-group type: P-3m1

***

VASP calculation (PBE) on a geometry-optimized Cs2NaGaF6 structure.

Cell and atoms, written as POSCAR:
```
Cs2NaGaF6
1.0
0.000 4.418 4.418
4.418 0.000 4.418
4.418 4.418 0.000
F Na Ga Cs
6 1 1 2
direct
0.221 0.779 0.221 F
0.779 0.221 0.779 F
0.221 0.779 0.779 F
0.779 0.221 0.221 F
0.221 0.221 0.779 F
0.779 0.779 0.221 F
0.500 0.500 0.500 Na
0.000 0.000 0.000 Ga
0.750 0.750 0.750 Cs
0.250 0.250 0.250 Cs
```

## Properties
* ΔE_f: -3.052 eV per atom
* final energy: -0.1667 hartree per atom
* magnetization: 0.0 μB per formula unit
* space-group type: Fm-3m

***

> The highest final energy belongs to which entry?

Cs2NaGaF6

***

> Among the records above, which one has the lowest final energy?

Cs2LiGaF6

***

> Which value of magnetization does entry 1 give?

0.0 μB per formula unit

***

> Which value of magnetization does entry 2 give?

0.0 μB per formula unit